The following is a DFT calculation (PBE) of a relaxed Mg149Ga crystal.

abc: 15.8989 15.8989 15.5414
angles: 90.00 90.00 120.00
Closest atoms and distances in Å follow each position.
Positions (direct):
Mg (0.0000, 0.0000, 0.0000)  12 Mg 3.18
Mg (0.0000, 0.0000, 0.3334)  12 Mg 3.17-3.18
Mg (0.0000, 0.0000, 0.6666)  12 Mg 3.17-3.18
Mg (0.9999, 0.2000, 0.0000)  12 Mg 3.18
Mg (0.9999, 0.2000, 0.3336)  12 Mg 3.17-3.18
Mg (0.9999, 0.2000, 0.6664)  12 Mg 3.17-3.18
Mg (0.0003, 0.4000, 0.0000)  12 Mg 3.18
Mg (0.0003, 0.6003, 0.0000)  12 Mg 3.18
Mg (0.9999, 0.7999, 0.0000)  12 Mg 3.18
Mg (0.9999, 0.7999, 0.3336)  12 Mg 3.17-3.18
Mg (0.9999, 0.7999, 0.6664)  12 Mg 3.17-3.18
Mg (0.0009, 0.4005, 0.3339)  12 Mg 3.16-3.19
Mg (0.0009, 0.4005, 0.6661)  12 Mg 3.16-3.19
Mg (0.0009, 0.6004, 0.3339)  12 Mg 3.16-3.19
Mg (0.0009, 0.6004, 0.6661)  12 Mg 3.16-3.19
Mg (0.1333, 0.0666, 0.1669)  12 Mg 3.17-3.18
Mg (0.1333, 0.0666, 0.8331)  12 Mg 3.17-3.18
Mg (0.1334, 0.2668, 0.1667)  12 Mg 3.16-3.18
Mg (0.1334, 0.2668, 0.8333)  12 Mg 3.16-3.18
Mg (0.1334, 0.8666, 0.1667)  12 Mg 3.16-3.18
Mg (0.1334, 0.8666, 0.8333)  12 Mg 3.16-3.18
Mg (0.1335, 0.0668, 0.5000)  12 Mg 3.17-3.19
Mg (0.1337, 0.2675, 0.5000)  12 Mg 3.17-3.19
Mg (0.1338, 0.4673, 0.1669)  12 Mg 3.17-3.20
Mg (0.1338, 0.4673, 0.8331)  12 Mg 3.17-3.20
Mg (0.1338, 0.6665, 0.1669)  12 Mg 3.17-3.20
Mg (0.1338, 0.6665, 0.8331)  12 Mg 3.17-3.20
Mg (0.1337, 0.8663, 0.5000)  12 Mg 3.17-3.19
Mg (0.1361, 0.4686, 0.5000)  11 Mg 3.12-3.21, 1 Ga 3.14
Mg (0.1361, 0.6676, 0.5000)  11 Mg 3.12-3.21, 1 Ga 3.14
Mg (0.2001, 0.0001, 0.0000)  12 Mg 3.18
Mg (0.2001, 0.0001, 0.3336)  12 Mg 3.17-3.18
Mg (0.2001, 0.0001, 0.6664)  12 Mg 3.17-3.18
Mg (0.2001, 0.2000, 0.0000)  12 Mg 3.18
Mg (0.2001, 0.2000, 0.3336)  12 Mg 3.17-3.18
Mg (0.2001, 0.2000, 0.6664)  12 Mg 3.17-3.18
Mg (0.1997, 0.3994, 0.3329)  12 Mg 3.16-3.19
Mg (0.1997, 0.3994, 0.6671)  12 Mg 3.16-3.19
Mg (0.2001, 0.4003, 0.0000)  12 Mg 3.18
Mg (0.2003, 0.6002, 0.0000)  12 Mg 3.17-3.18
Mg (0.2001, 0.7999, 0.0000)  12 Mg 3.18
Mg (0.1997, 0.8003, 0.3329)  12 Mg 3.16-3.19
Mg (0.1997, 0.8003, 0.6671)  12 Mg 3.16-3.19
Mg (0.2019, 0.6009, 0.3353)  11 Mg 3.14-3.20, 1 Ga 3.14
Mg (0.2019, 0.6009, 0.6647)  11 Mg 3.14-3.20, 1 Ga 3.14
Mg (0.3324, 0.4686, 0.5000)  11 Mg 3.12-3.21, 1 Ga 3.14
Mg (0.3324, 0.8639, 0.5000)  11 Mg 3.12-3.21, 1 Ga 3.14
Mg (0.3333, 0.0664, 0.1669)  12 Mg 3.17-3.19
Mg (0.3334, 0.0662, 0.5000)  12 Mg 3.17-3.21
Mg (0.3333, 0.0664, 0.8331)  12 Mg 3.17-3.19
Mg (0.3333, 0.2669, 0.1669)  12 Mg 3.17-3.19
Mg (0.3334, 0.2672, 0.5000)  12 Mg 3.17-3.21
Mg (0.3333, 0.2669, 0.8331)  12 Mg 3.17-3.19
Mg (0.3333, 0.6667, 0.1674)  12 Mg 3.17-3.18
Mg (0.3333, 0.6667, 0.8326)  12 Mg 3.17-3.18
Mg (0.3335, 0.4673, 0.1669)  12 Mg 3.17-3.20
Mg (0.3335, 0.4673, 0.8331)  12 Mg 3.17-3.20
Mg (0.3335, 0.8662, 0.1669)  12 Mg 3.17-3.20
Mg (0.3335, 0.8662, 0.8331)  12 Mg 3.17-3.20
Mg (0.3991, 0.6009, 0.3353)  11 Mg 3.14-3.20, 1 Ga 3.14
Mg (0.3991, 0.6009, 0.6647)  11 Mg 3.14-3.20, 1 Ga 3.14
Mg (0.3991, 0.7981, 0.3353)  11 Mg 3.14-3.20, 1 Ga 3.14
Mg (0.3991, 0.7981, 0.6647)  11 Mg 3.14-3.20, 1 Ga 3.14
Mg (0.3997, 0.9997, 0.0000)  12 Mg 3.18
Mg (0.3998, 0.1999, 0.0000)  12 Mg 3.18
Mg (0.4000, 0.2000, 0.3336)  12 Mg 3.17-3.19
Mg (0.4000, 0.2000, 0.6664)  12 Mg 3.17-3.19
Mg (0.3997, 0.4000, 0.0000)  12 Mg 3.18
Mg (0.3996, 0.4005, 0.3339)  12 Mg 3.16-3.19
Mg (0.3996, 0.4005, 0.6661)  12 Mg 3.16-3.19
Mg (0.3998, 0.6002, 0.0000)  12 Mg 3.17-3.18
Mg (0.3998, 0.7997, 0.0000)  12 Mg 3.17-3.18
Mg (0.3996, 0.9991, 0.3339)  12 Mg 3.16-3.19
Mg (0.3996, 0.9991, 0.6661)  12 Mg 3.16-3.19
Mg (0.5314, 0.6676, 0.5000)  11 Mg 3.12-3.21, 1 Ga 3.14
Mg (0.5314, 0.8639, 0.5000)  11 Mg 3.12-3.21, 1 Ga 3.14
Mg (0.5326, 0.0652, 0.5000)  12 Mg 3.16-3.20
Mg (0.5333, 0.0665, 0.1670)  12 Mg 3.17-3.18
Mg (0.5333, 0.0665, 0.8330)  12 Mg 3.17-3.18
Mg (0.5334, 0.2667, 0.1668)  12 Mg 3.18
Mg (0.5331, 0.2666, 0.5000)  12 Mg 3.17-3.20
Mg (0.5334, 0.2667, 0.8332)  12 Mg 3.18
Mg (0.5333, 0.4667, 0.1670)  12 Mg 3.17-3.18
Mg (0.5326, 0.4674, 0.5000)  12 Mg 3.16-3.20
Mg (0.5333, 0.4667, 0.8330)  12 Mg 3.17-3.18
Mg (0.5327, 0.6665, 0.1669)  12 Mg 3.17-3.20
Mg (0.5327, 0.6665, 0.8331)  12 Mg 3.17-3.20
Mg (0.5327, 0.8662, 0.1669)  12 Mg 3.17-3.20
Mg (0.5327, 0.8662, 0.8331)  12 Mg 3.17-3.20
Mg (0.5995, 0.6004, 0.3339)  12 Mg 3.16-3.19
Mg (0.5995, 0.6004, 0.6661)  12 Mg 3.16-3.19
Mg (0.5995, 0.9991, 0.3339)  12 Mg 3.16-3.19
Mg (0.5995, 0.9991, 0.6661)  12 Mg 3.16-3.19
Mg (0.6000, 0.9997, 0.0000)  12 Mg 3.18
Mg (0.5999, 0.1997, 0.0000)  12 Mg 3.18-3.19
Mg (0.5998, 0.1997, 0.3334)  12 Mg 3.17-3.19
Mg (0.5998, 0.1997, 0.6666)  12 Mg 3.17-3.19
Mg (0.5999, 0.4001, 0.0000)  12 Mg 3.18-3.19
Mg (0.5998, 0.4002, 0.3334)  12 Mg 3.17-3.19
Mg (0.5998, 0.4002, 0.6666)  12 Mg 3.17-3.19
Mg (0.6000, 0.6003, 0.0000)  12 Mg 3.18
Mg (0.5997, 0.7999, 0.0000)  12 Mg 3.18
Mg (0.6006, 0.8003, 0.3329)  12 Mg 3.16-3.19
Mg (0.6006, 0.8003, 0.6671)  12 Mg 3.16-3.19
Mg (0.7331, 0.0664, 0.1669)  12 Mg 3.17-3.19
Mg (0.7328, 0.0662, 0.5000)  12 Mg 3.17-3.21
Mg (0.7331, 0.0664, 0.8331)  12 Mg 3.17-3.19
Mg (0.7333, 0.2667, 0.1668)  12 Mg 3.18
Mg (0.7334, 0.2666, 0.5000)  12 Mg 3.17-3.20
Mg (0.7333, 0.2667, 0.8332)  12 Mg 3.18
Mg (0.7333, 0.4666, 0.1668)  12 Mg 3.18
Mg (0.7334, 0.4669, 0.5000)  12 Mg 3.17-3.20
Mg (0.7333, 0.4666, 0.8332)  12 Mg 3.18
Mg (0.7331, 0.6667, 0.1669)  12 Mg 3.17-3.19
Mg (0.7328, 0.6666, 0.5000)  12 Mg 3.17-3.21
Mg (0.7331, 0.6667, 0.8331)  12 Mg 3.17-3.19
Mg (0.7325, 0.8663, 0.5000)  12 Mg 3.17-3.19
Mg (0.7332, 0.8666, 0.1667)  12 Mg 3.16-3.18
Mg (0.7332, 0.8666, 0.8333)  12 Mg 3.16-3.18
Mg (0.8000, 0.0001, 0.0000)  12 Mg 3.18
Mg (0.8000, 0.0001, 0.3336)  12 Mg 3.17-3.18
Mg (0.8000, 0.0001, 0.6664)  12 Mg 3.17-3.18
Mg (0.8001, 0.1999, 0.0000)  12 Mg 3.18
Mg (0.8000, 0.2000, 0.3336)  12 Mg 3.17-3.19
Mg (0.8000, 0.2000, 0.6664)  12 Mg 3.17-3.19
Mg (0.8003, 0.4001, 0.0000)  12 Mg 3.18-3.19
Mg (0.8003, 0.4002, 0.3334)  12 Mg 3.17-3.19
Mg (0.8003, 0.4002, 0.6666)  12 Mg 3.17-3.19
Mg (0.8001, 0.6002, 0.0000)  12 Mg 3.18
Mg (0.8000, 0.6000, 0.3336)  12 Mg 3.17-3.19
Mg (0.8000, 0.6000, 0.6664)  12 Mg 3.17-3.19
Mg (0.8000, 0.7999, 0.0000)  12 Mg 3.18
Mg (0.8000, 0.7999, 0.3336)  12 Mg 3.17-3.18
Mg (0.8000, 0.7999, 0.6664)  12 Mg 3.17-3.18
Mg (0.9334, 0.0666, 0.1669)  12 Mg 3.17-3.18
Mg (0.9332, 0.0668, 0.5000)  12 Mg 3.17-3.19
Mg (0.9334, 0.0666, 0.8331)  12 Mg 3.17-3.18
Mg (0.9335, 0.4667, 0.1670)  12 Mg 3.17-3.18
Mg (0.9335, 0.4667, 0.8330)  12 Mg 3.17-3.18
Mg (0.9332, 0.8665, 0.5000)  12 Mg 3.17-3.19
Mg (0.9334, 0.8667, 0.1669)  12 Mg 3.17-3.18
Mg (0.9334, 0.8667, 0.8331)  12 Mg 3.17-3.18
Mg (0.9336, 0.2669, 0.1669)  12 Mg 3.17-3.19
Mg (0.9338, 0.2672, 0.5000)  12 Mg 3.17-3.21
Mg (0.9336, 0.2669, 0.8331)  12 Mg 3.17-3.19
Mg (0.9336, 0.6667, 0.1669)  12 Mg 3.17-3.19
Mg (0.9338, 0.6666, 0.5000)  12 Mg 3.17-3.21
Mg (0.9336, 0.6667, 0.8331)  12 Mg 3.17-3.19
Mg (0.9348, 0.4674, 0.5000)  12 Mg 3.16-3.20
Ga (0.3333, 0.6667, 0.5000)  12 Mg 3.14

Output
The size of the total moment is 0.00 μB per formula unit. As for the theoretical density: 1.80 g cm⁻³. The formation energy from the elements comes out at -0.029 eV/atom.